{
  "formula": "NdTmTl2",
  "functional": "meta-GGA r2SCAN",
  "state": "optimized geometry",
  "m_tot_mub_per_atom": 0.00,
  "e_form_ev_per_atom": -0.441,
  "lattice_angstrom": [[0.5794, 2.5857, 4.6902], [-3.6173, -0.7050, 3.9292], [1.3442, -2.7408, 4.4386]],
  "species": ["Tm", "Tl", "Tl", "Nd"],
  "frac_coords": [[0.7500, 0.7500, 0.7500], [0.5000, 0.5000, 0.5000], [0.0000, 0.0000, 0.0000], [0.2500, 0.2500, 0.2500]]
}

=====

{
  "formula": "NdTm",
  "functional": "meta-GGA r2SCAN",
  "state": "optimized geometry",
  "m_tot_mub_per_atom": 0.00,
  "e_form_ev_per_atom": 0.049,
  "lattice_angstrom": [[1.8205, -3.1532, 0.0000], [1.8205, 3.1532, 0.0000], [0.0000, 0.0000, 5.7415]],
  "species": ["Tm", "Nd"],
  "frac_coords": [[0.3333, 0.6667, 0.0000], [0.6667, 0.3333, 0.5000]]
}

=====

{
  "formula": "NdTm3",
  "functional": "meta-GGA r2SCAN",
  "state": "optimized geometry",
  "m_tot_mub_per_atom": 0.59,
  "e_form_ev_per_atom": 0.001,
  "relative_energy_mev_per_atom": 0,
  "lattice_angstrom": [[1.5740, 6.1085, -3.4483], [-6.7735, -2.4044, 0.1428], [-0.9505, 2.9638, 4.8165]],
  "species": ["Nd", "Nd", "Tm", "Tm", "Tm", "Tm", "Tm", "Tm"],
  "frac_coords": [[0.6667, 0.3333, 0.2500], [0.3333, 0.6667, 0.7500], [0.3286, 0.1643, 0.7500], [0.8357, 0.6714, 0.7500], [0.8357, 0.1643, 0.7500], [0.1643, 0.3286, 0.2500], [0.6714, 0.8357, 0.2500], [0.1643, 0.8357, 0.2500]]
}

=====

{
  "formula": "NdTm3",
  "functional": "meta-GGA r2SCAN",
  "state": "optimized geometry",
  "m_tot_mub_per_atom": 0.13,
  "e_form_ev_per_atom": 0.050,
  "relative_energy_mev_per_atom": 48,
  "lattice_angstrom": [[-3.5853, -3.4978, 0.1128], [0.2893, -0.1353, 5.0000], [-3.4877, 3.5846, 0.2988]],
  "species": ["Tm", "Nd", "Tm", "Tm"],
  "frac_coords": [[0.0000, 0.5000, 0.5000], [0.0000, 0.0000, 0.0000], [0.5000, 0.0000, 0.5000], [0.5000, 0.5000, 0.0000]]
}

=====

{
  "formula": "Nd3Tm",
  "functional": "meta-GGA r2SCAN",
  "state": "optimized geometry",
  "m_tot_mub_per_atom": 0.31,
  "e_form_ev_per_atom": 0.021,
  "lattice_angstrom": [[-3.1822, 2.0544, -6.3735], [-2.9406, -5.5012, 4.0073], [-3.2920, 3.8644, 2.8894]],
  "species": ["Nd", "Nd", "Tm", "Tm", "Nd", "Nd", "Nd", "Nd"],
  "frac_coords": [[0.8315, 0.1685, 0.7500], [0.1685, 0.8315, 0.2500], [0.3333, 0.6667, 0.7500], [0.6667, 0.3333, 0.2500], [0.3370, 0.1685, 0.7500], [0.8315, 0.6630, 0.7500], [0.6630, 0.8315, 0.2500], [0.1685, 0.3370, 0.2500]]
}

=====

{
  "formula": "NdTmZn2",
  "functional": "meta-GGA r2SCAN",
  "state": "optimized geometry",
  "m_tot_mub_per_atom": 0.00,
  "e_form_ev_per_atom": -0.349,
  "lattice_angstrom": [[1.3835, 2.5402, 4.1669], [-3.1545, 0.2831, 3.9622], [1.0611, -2.5209, 4.2719]],
  "species": ["Nd", "Zn", "Tm", "Zn"],
  "frac_coords": [[0.5000, 0.5000, 0.5000], [0.2500, 0.2500, 0.2500], [0.0000, 0.0000, 0.0000], [0.7500, 0.7500, 0.7500]]
}